Entry from the Materials Project: a relaxed La3ScAl8 crystal (GGA-PBE).

a = 9.890 Å, b = 9.890 Å, c = 9.890 Å
α = 33.22°, β = 33.22°, γ = 33.22°
Sites, in units of the cell vectors:
La  0.375  0.375  0.375
La  0.999  0.999  0.999
La  0.501  0.501  0.501
Sc  0.875  0.875  0.875
Al  0.436  0.935  0.436
Al  0.939  0.442  0.939
Al  0.436  0.436  0.935
Al  0.939  0.939  0.442
Al  0.188  0.188  0.188
Al  0.687  0.687  0.687
Al  0.935  0.436  0.436
Al  0.442  0.939  0.939

Output
- V: 21.55 A^3/atom
- Spin magnetization: 0.00 μB per atom
- Formation energy: -469.8 meV/atom